No. 1
Density functional theory data (PBE) for crystalline CrAsPd at its relaxed geometry.

Calculated values
Space-group type: P-62m, No. 189
Energy relative to the elements (eV/atom): -0.207
Spin magnetization (μB/f.u.): 3.17
Final energy (eV/atom): -6.704
Volume (Å³/f.u.): 47.5

Unit cell a=3.669 b=6.696 c=6.696 alpha=120.00 beta=90.00 gamma=90.00
Element x y z (fractional)
Pd (0.500, 0.267, 0.000)
Pd (0.500, 0.000, 0.267)
Pd (0.500, 0.733, 0.733)
Cr (0.000, 0.397, 0.397)
Cr (0.000, 0.000, 0.603)
Cr (0.000, 0.603, 0.000)
As (0.000, 0.000, 0.000)
As (0.500, 0.667, 0.333)
As (0.500, 0.333, 0.667)


No. 2
Density functional theory data (PBE) for crystalline CrAsRh at its relaxed geometry.

Calculated values
Space-group type: P-62m, No. 189
Energy relative to the elements (eV/atom): -0.248
Spin magnetization (μB/f.u.): 3.54
Final energy (eV/atom): -7.474
Volume (Å³/f.u.): 45.7

Unit cell a=3.738 b=6.505 c=6.505 alpha=120.00 beta=90.00 gamma=90.00
Element x y z (fractional)
Rh (0.000, 0.255, 0.255)
Rh (0.000, 0.745, 0.000)
Rh (0.000, 0.000, 0.745)
Cr (0.500, 0.592, 0.592)
Cr (0.500, 0.408, 0.000)
Cr (0.500, 0.000, 0.408)
As (0.000, 0.667, 0.333)
As (0.500, 0.000, 0.000)
As (0.000, 0.333, 0.667)


No. 3
Density functional theory data (PBE) for crystalline CrAsRu at its relaxed geometry.

Calculated values
Space-group type: Pnma, No. 62
Energy relative to the elements (eV/atom): -0.106
Spin magnetization (μB/f.u.): 2.82
Final energy (eV/atom): -7.968
Volume (Å³/f.u.): 44.2

Unit cell a=3.987 b=6.060 c=7.316 alpha=90.00 beta=90.00 gamma=90.00
Element x y z (fractional)
Cr (0.750, 0.967, 0.308)
Cr (0.250, 0.033, 0.692)
Cr (0.250, 0.533, 0.808)
Cr (0.750, 0.467, 0.192)
Ru (0.750, 0.843, 0.941)
Ru (0.250, 0.657, 0.441)
Ru (0.750, 0.343, 0.559)
Ru (0.250, 0.157, 0.059)
As (0.250, 0.252, 0.382)
As (0.750, 0.248, 0.882)
As (0.750, 0.748, 0.618)
As (0.250, 0.752, 0.118)